[1]
First-principles (PBE-GGA) data for an optimized crystal structure of Sm5Co19, as listed in the Materials Project.

```
Sm5Co19
1.0
-0.974 -4.677 1.442
3.991 2.389 1.808
-17.611 11.121 24.176
Sm Co
10 38
Direct
0.333 0.667 0.979
0.667 0.333 0.021
0.667 0.333 0.479
0.333 0.667 0.521
0.333 0.667 0.869
0.667 0.333 0.131
0.667 0.333 0.369
0.333 0.667 0.631
0.333 0.667 0.750
0.667 0.333 0.250
0.166 0.834 0.434
0.166 0.331 0.434
0.669 0.834 0.434
0.834 0.166 0.566
0.834 0.669 0.566
0.331 0.166 0.566
0.834 0.166 0.934
0.834 0.669 0.934
0.331 0.166 0.934
0.166 0.834 0.066
0.166 0.331 0.066
0.669 0.834 0.066
0.166 0.834 0.312
0.166 0.333 0.312
0.667 0.834 0.312
0.834 0.166 0.688
0.834 0.667 0.688
0.333 0.166 0.688
0.834 0.166 0.812
0.834 0.667 0.812
0.333 0.166 0.812
0.166 0.834 0.188
0.166 0.333 0.188
0.667 0.834 0.188
0.333 0.667 0.374
0.667 0.333 0.626
0.667 0.333 0.874
0.333 0.667 0.126
0.000 0.000 0.374
0.000 0.000 0.626
0.000 0.000 0.874
0.000 0.000 0.126
0.333 0.667 0.250
0.667 0.333 0.750
0.000 0.000 0.250
0.000 0.000 0.750
0.000 0.000 0.500
0.000 0.000 0.000
```

E above lowest polymorph = 42 meV per atom
formation energy from the elements = -0.05 eV per atom

***

[2]
First-principles (PBE-GGA) data for an optimized crystal structure of SmTiCo11, as listed in the Materials Project.

```
SmTiCo11
1.0
-1.996 -2.893 3.091
2.979 0.158 5.615
-2.550 5.819 0.256
Sm Ti Co
1 1 11
Direct
0.007 0.993 0.007
0.631 0.369 0.631
0.730 0.770 0.230
0.277 0.223 0.777
0.499 0.779 0.776
0.499 0.224 0.221
0.500 0.995 0.498
0.004 0.995 0.498
0.500 0.502 0.005
0.004 0.502 0.005
0.354 0.646 0.354
0.998 0.361 0.358
0.998 0.642 0.639
```

formation energy from the elements = -0.11 eV per atom

***

[3]
First-principles (PBE-GGA) data for an optimized crystal structure of SmYCo17, as listed in the Materials Project.

```
SmYCo17
1.0
4.707 -4.171 0.000
4.707 4.171 0.000
1.010 0.000 6.208
Sm Y Co
1 1 17
Direct
0.344 0.344 0.344
0.657 0.657 0.657
0.346 0.346 0.849
0.849 0.346 0.346
0.346 0.849 0.346
0.655 0.655 0.150
0.150 0.655 0.655
0.655 0.150 0.655
0.713 0.287 0.999
0.999 0.713 0.287
0.287 0.999 0.713
0.999 0.287 0.713
0.713 0.999 0.287
0.287 0.713 0.999
0.999 0.999 0.500
0.500 0.999 0.999
0.999 0.500 0.999
0.904 0.904 0.904
0.096 0.096 0.096
```

formation energy from the elements = -0.08 eV per atom

***

[4]
First-principles (PBE-GGA) data for an optimized crystal structure of SmZnCo2, as listed in the Materials Project.

```
SmZnCo2
1.0
3.138 2.955 2.826
1.522 -4.698 -1.478
6.450 6.471 -13.929
Sm Zn Co
6 6 12
Direct
0.667 0.333 0.456
0.333 0.667 0.544
0.333 0.667 0.956
0.667 0.333 0.044
0.667 0.333 0.250
0.333 0.667 0.750
0.000 0.000 0.750
0.000 0.000 0.250
0.667 0.333 0.750
0.333 0.667 0.250
0.000 0.000 0.000
0.000 0.000 0.500
0.832 0.168 0.873
0.168 0.832 0.127
0.335 0.168 0.873
0.168 0.832 0.373
0.665 0.832 0.127
0.832 0.168 0.627
0.832 0.665 0.873
0.665 0.832 0.373
0.168 0.335 0.127
0.335 0.168 0.627
0.168 0.335 0.373
0.832 0.665 0.627
```

formation energy from the elements = -0.17 eV per atom

***

[5]
First-principles (PBE-GGA) data for an optimized crystal structure of CoSn2, as listed in the Materials Project.

```
CoSn2
1.0
-3.190 3.190 2.735
3.190 -3.190 2.735
3.190 3.190 -2.735
Co Sn
2 4
Direct
0.750 0.750 0.000
0.250 0.250 0.000
0.666 0.166 0.832
0.334 0.834 0.168
0.834 0.666 0.500
0.166 0.334 0.500
```

formation energy from the elements = -0.06 eV per atom

***

[6]
First-principles (PBE-GGA) data for an optimized crystal structure of Co2Sn, as listed in the Materials Project.

```
Co2Sn
1.0
-1.371 1.246 3.850
-2.799 -0.602 -3.172
-0.541 -5.006 1.427
Co Sn
4 2
Direct
0.333 0.667 0.750
0.000 0.000 0.000
0.000 0.000 0.500
0.667 0.333 0.250
0.667 0.333 0.750
0.333 0.667 0.250
```

formation energy from the elements = 0.14 eV per atom

***

[7]
First-principles (PBE-GGA) data for an optimized crystal structure of CoSn, as listed in the Materials Project.

```
CoSn
1.0
2.654 -4.597 0.000
2.654 4.597 0.000
0.000 0.000 4.237
Co Sn
3 3
Direct
0.000 0.500 0.000
0.500 0.500 0.000
0.500 0.000 0.000
0.667 0.333 0.500
0.333 0.667 0.500
0.000 0.000 0.000
```

formation energy from the elements = -0.11 eV per atom

***

[8]
First-principles (PBE-GGA) data for an optimized crystal structure of TaCoSn2, as listed in the Materials Project.

```
TaCoSn2
1.0
0.000 3.362 3.362
3.362 0.000 3.362
3.362 3.362 0.000
Ta Co Sn
1 1 2
Direct
0.750 0.750 0.750
0.500 0.500 0.500
0.000 0.000 0.000
0.250 0.250 0.250
```

formation energy from the elements = 0.59 eV per atom

***

[9]
First-principles (PBE-GGA) data for an optimized crystal structure of TbCoSn2, as listed in the Materials Project.

```
TbCoSn2
1.0
2.189 -9.169 0.000
2.189 9.169 0.000
0.000 0.000 4.461
Tb Co Sn
2 2 4
Direct
0.114 0.886 0.750
0.886 0.114 0.250
0.680 0.320 0.250
0.320 0.680 0.750
0.548 0.452 0.250
0.252 0.748 0.250
0.452 0.548 0.750
0.748 0.252 0.750
```

formation energy from the elements = -0.39 eV per atom

***

[10]
First-principles (PBE-GGA) data for an optimized crystal structure of Tb7Co6Sn23, as listed in the Materials Project.

```
Tb7Co6Sn23
1.0
1.888 9.521 0.045
-4.135 -4.164 7.731
8.991 -1.801 3.838
Tb Co Sn
7 6 23
Direct
0.000 0.000 0.000
0.479 0.521 0.306
0.521 0.479 0.694
0.479 0.958 0.306
0.521 0.042 0.694
0.042 0.521 0.306
0.958 0.479 0.694
0.832 0.168 0.198
0.168 0.832 0.802
0.832 0.665 0.198
0.168 0.335 0.802
0.335 0.168 0.198
0.665 0.832 0.802
0.347 0.000 0.000
0.653 0.000 0.000
0.000 0.347 0.000
0.000 0.653 0.000
0.653 0.653 0.000
0.347 0.347 0.000
0.333 0.667 0.819
0.667 0.333 0.181
0.000 0.000 0.500
0.781 0.219 0.454
0.219 0.781 0.546
0.781 0.562 0.454
0.219 0.438 0.546
0.438 0.219 0.454
0.562 0.781 0.546
0.333 0.667 0.116
0.667 0.333 0.884
0.118 0.882 0.276
0.882 0.118 0.724
0.118 0.235 0.276
0.882 0.765 0.724
0.765 0.882 0.276
0.235 0.118 0.724
```

E above lowest polymorph = 0 meV per atom
formation energy from the elements = -0.42 eV per atom

***

[11]
First-principles (PBE-GGA) data for an optimized crystal structure of Tb3Co4Sn13, as listed in the Materials Project.

```
Tb3Co4Sn13
1.0
9.567 0.000 0.000
0.000 9.567 0.000
0.000 0.000 9.567
Tb Co Sn
6 8 26
Direct
0.000 0.500 0.750
0.500 0.250 0.000
0.750 0.000 0.500
0.000 0.500 0.250
0.500 0.750 0.000
0.250 0.000 0.500
0.750 0.250 0.750
0.250 0.750 0.250
0.750 0.750 0.250
0.250 0.250 0.750
0.250 0.750 0.750
0.750 0.250 0.250
0.250 0.250 0.250
0.750 0.750 0.750
0.500 0.500 0.500
0.000 0.000 0.000
0.804 0.343 0.500
0.657 0.500 0.804
0.500 0.196 0.657
0.196 0.657 0.500
0.343 0.500 0.196
0.500 0.804 0.343
0.804 0.657 0.500
0.657 0.500 0.196
0.196 0.343 0.500
0.343 0.500 0.804
0.500 0.804 0.657
0.500 0.196 0.343
0.304 0.000 0.843
0.157 0.304 0.000
0.000 0.157 0.696
0.696 0.000 0.157
0.843 0.696 0.000
0.000 0.843 0.304
0.304 0.000 0.157
0.157 0.696 0.000
0.696 0.000 0.843
0.843 0.304 0.000
0.000 0.157 0.304
0.000 0.843 0.696
```

formation energy from the elements = -0.34 eV per atom

***

[12]
First-principles (PBE-GGA) data for an optimized crystal structure of Tb7Co6Sn23, as listed in the Materials Project.

```
Tb7Co6Sn23
1.0
0.181 1.776 -9.958
-0.908 -9.473 3.433
-10.885 1.039 -0.013
Tb Co Sn
7 6 23
Direct
0.000 0.000 0.000
0.952 0.476 0.709
0.524 0.048 0.709
0.524 0.476 0.709
0.048 0.524 0.291
0.476 0.952 0.291
0.476 0.524 0.291
0.388 0.194 0.851
0.806 0.612 0.851
0.806 0.194 0.851
0.612 0.806 0.149
0.194 0.388 0.149
0.194 0.806 0.149
0.667 0.333 0.201
0.333 0.667 0.799
0.457 0.228 0.444
0.772 0.543 0.444
0.772 0.228 0.444
0.543 0.772 0.556
0.228 0.457 0.556
0.228 0.772 0.556
0.233 0.117 0.678
0.883 0.767 0.678
0.883 0.117 0.678
0.767 0.883 0.322
0.117 0.233 0.322
0.117 0.883 0.322
0.000 0.000 0.500
0.349 0.000 0.000
0.651 0.651 0.000
0.000 0.349 0.000
0.349 0.349 0.000
0.000 0.651 0.000
0.651 0.000 0.000
0.667 0.333 0.893
0.333 0.667 0.107
```

E above lowest polymorph = 290 meV per atom
formation energy from the elements = -0.13 eV per atom

***

[13]
First-principles (PBE-GGA) data for an optimized crystal structure of TbCoSn, as listed in the Materials Project.

```
TbCoSn
1.0
4.581 0.000 0.000
0.000 7.290 0.000
0.000 0.000 7.394
Tb Co Sn
4 4 4
Direct
0.750 0.301 0.526
0.250 0.801 0.974
0.750 0.199 0.026
0.250 0.699 0.474
0.750 0.939 0.350
0.750 0.561 0.850
0.250 0.439 0.150
0.250 0.061 0.650
0.250 0.392 0.798
0.750 0.892 0.702
0.250 0.108 0.298
0.750 0.608 0.202
```

formation energy from the elements = -0.49 eV per atom

***

[14]
First-principles (PBE-GGA) data for an optimized crystal structure of Tb7Co6Sn23, as listed in the Materials Project.

```
Tb7Co6Sn23
1.0
8.972 5.189 0.000
8.972 -5.189 0.000
0.003 0.000 -10.464
Tb Co Sn
7 6 23
Direct
0.000 0.000 0.000
0.472 0.472 0.303
0.055 0.474 0.304
0.474 0.055 0.304
0.528 0.528 0.697
0.945 0.526 0.696
0.526 0.945 0.696
0.202 0.202 0.152
0.601 0.198 0.149
0.198 0.601 0.149
0.798 0.798 0.848
0.399 0.802 0.851
0.802 0.399 0.851
0.332 0.332 0.793
0.668 0.668 0.207
0.231 0.231 0.547
0.541 0.230 0.550
0.230 0.541 0.550
0.769 0.769 0.453
0.459 0.770 0.450
0.770 0.459 0.450
0.116 0.116 0.320
0.767 0.118 0.321
0.118 0.767 0.321
0.884 0.884 0.680
0.233 0.882 0.679
0.882 0.233 0.679
0.000 0.000 0.500
0.001 0.347 0.001
0.653 0.999 0.999
0.349 0.651 0.000
0.347 0.001 0.001
0.651 0.349 0.000
0.999 0.653 0.999
0.335 0.335 0.079
0.665 0.665 0.921
```

E above lowest polymorph = 307 meV per atom
formation energy from the elements = -0.11 eV per atom

***

[15]
First-principles (PBE-GGA) data for an optimized crystal structure of ThCo2Sn2, as listed in the Materials Project.

```
ThCo2Sn2
1.0
-3.655 -0.083 -2.555
-2.497 -0.838 3.599
-1.224 9.803 1.434
Th Co Sn
2 4 4
Direct
0.000 0.500 0.233
0.500 0.000 0.767
0.000 0.000 0.000
0.500 0.500 0.000
0.000 0.500 0.627
0.500 0.000 0.373
0.000 0.000 0.500
0.500 0.500 0.500
0.000 0.500 0.874
0.500 0.000 0.126
```

formation energy from the elements = -0.33 eV per atom